First-principles (PBE) data for a geometry-optimized MgMnGe structure, as listed in the Materials Project database.

a b c (Å): 3.901 3.901 6.556
angles (deg): 90.00 90.00 90.00
Atoms (fractional coordinates):
Mg (0.250, 0.250, 0.168)
Mg (0.750, 0.750, 0.832)
Mn (0.250, 0.750, 0.500)
Mn (0.750, 0.250, 0.500)
Ge (0.250, 0.250, 0.738)
Ge (0.750, 0.750, 0.262)

Values from the calculation:
Total DFT energy (no corrections) = -5.33 eV per atom
Space group = P4/nmm

First-principles (PBE) data for a geometry-optimized MgMn6Ge6 structure, as listed in the Materials Project database.

a b c (Å): 5.163 5.163 8.048
angles (deg): 90.00 90.00 120.00
Atoms (fractional coordinates):
Mg (0.000, 0.000, 0.000)
Mn (0.000, 0.500, 0.249)
Mn (0.000, 0.500, 0.751)
Mn (0.500, 0.000, 0.249)
Mn (0.500, 0.000, 0.751)
Mn (0.500, 0.500, 0.249)
Mn (0.500, 0.500, 0.751)
Ge (0.000, 0.000, 0.334)
Ge (0.000, 0.000, 0.666)
Ge (0.333, 0.667, 0.000)
Ge (0.333, 0.667, 0.500)
Ge (0.667, 0.333, 0.000)
Ge (0.667, 0.333, 0.500)

Values from the calculation:
Total DFT energy (no corrections) = -6.65 eV per atom
Space group = P6/mmm

First-principles (PBE) data for a geometry-optimized Mg4GeN4 structure, as listed in the Materials Project database.

a b c (Å): 5.390 10.723 8.283
angles (deg): 90.00 90.00 90.00
Atoms (fractional coordinates):
Mg (0.181, 0.141, 0.118)
Mg (0.181, 0.359, 0.382)
Mg (0.226, 0.250, 0.750)
Mg (0.250, 0.000, 0.456)
Mg (0.250, 0.500, 0.044)
Mg (0.274, 0.750, 0.750)
Mg (0.319, 0.641, 0.382)
Mg (0.319, 0.859, 0.118)
Mg (0.681, 0.141, 0.882)
Mg (0.681, 0.359, 0.618)
Mg (0.726, 0.250, 0.250)
Mg (0.750, 0.000, 0.544)
Mg (0.750, 0.500, 0.956)
Mg (0.774, 0.750, 0.250)
Mg (0.819, 0.641, 0.618)
Mg (0.819, 0.859, 0.882)
Ge (0.250, 0.000, 0.789)
Ge (0.250, 0.500, 0.711)
Ge (0.750, 0.000, 0.211)
Ge (0.750, 0.500, 0.289)
N (0.031, 0.603, 0.841)
N (0.031, 0.897, 0.659)
N (0.052, 0.120, 0.889)
N (0.052, 0.380, 0.611)
N (0.448, 0.620, 0.611)
N (0.448, 0.880, 0.889)
N (0.469, 0.103, 0.659)
N (0.469, 0.397, 0.841)
N (0.531, 0.603, 0.159)
N (0.531, 0.897, 0.341)
N (0.552, 0.120, 0.111)
N (0.552, 0.380, 0.389)
N (0.948, 0.620, 0.389)
N (0.948, 0.880, 0.111)
N (0.969, 0.103, 0.341)
N (0.969, 0.397, 0.159)

Values from the calculation:
Total DFT energy (no corrections) = -5.41 eV per atom
Space group = Pnna

First-principles (PBE) data for a geometry-optimized Mg7GeN6 structure, as listed in the Materials Project database.

a b c (Å): 8.329 8.329 8.329
angles (deg): 141.26 102.29 90.41
Atoms (fractional coordinates):
Mg (0.041, 0.218, 0.259)
Mg (0.115, 0.472, 0.820)
Mg (0.152, 0.972, 0.357)
Mg (0.250, 0.250, 0.000)
Mg (0.348, 0.705, 0.820)
Mg (0.385, 0.205, 0.357)
Mg (0.459, 0.718, 0.177)
Mg (0.541, 0.282, 0.823)
Mg (0.615, 0.795, 0.643)
Mg (0.652, 0.295, 0.180)
Mg (0.750, 0.750, 0.000)
Mg (0.848, 0.028, 0.643)
Mg (0.885, 0.528, 0.180)
Mg (0.959, 0.782, 0.741)
Ge (0.250, 0.750, 0.500)
Ge (0.750, 0.250, 0.500)
N (0.059, 0.874, 0.598)
N (0.155, 0.857, 0.012)
N (0.223, 0.626, 0.185)
N (0.277, 0.462, 0.402)
N (0.345, 0.357, 0.702)
N (0.441, 0.038, 0.815)
N (0.559, 0.962, 0.185)
N (0.655, 0.643, 0.298)
N (0.723, 0.538, 0.598)
N (0.777, 0.374, 0.815)
N (0.845, 0.143, 0.988)
N (0.941, 0.126, 0.402)

Values from the calculation:
Total DFT energy (no corrections) = -5.30 eV per atom
Space group = Ibam

First-principles (PBE) data for a geometry-optimized MgGe2N2 structure, as listed in the Materials Project database.

a b c (Å): 3.046 3.046 8.837
angles (deg): 90.00 90.00 120.00
Atoms (fractional coordinates):
Mg (0.000, 0.000, 0.000)
Ge (0.333, 0.667, 0.716)
Ge (0.667, 0.333, 0.284)
N (0.333, 0.667, 0.155)
N (0.667, 0.333, 0.845)

Values from the calculation:
Total DFT energy (no corrections) = -5.66 eV per atom
Space group = P-3m1

First-principles (PBE) data for a geometry-optimized Mg5Ge2N6 structure, as listed in the Materials Project database.

a b c (Å): 5.525 5.525 13.210
angles (deg): 91.31 91.31 58.73
Atoms (fractional coordinates):
Mg (0.094, 0.906, 0.750)
Mg (0.105, 0.652, 0.941)
Mg (0.286, 0.427, 0.271)
Mg (0.348, 0.895, 0.559)
Mg (0.427, 0.286, 0.771)
Mg (0.573, 0.714, 0.229)
Mg (0.652, 0.105, 0.441)
Mg (0.714, 0.573, 0.729)
Mg (0.895, 0.348, 0.059)
Mg (0.906, 0.094, 0.250)
Ge (0.134, 0.466, 0.588)
Ge (0.466, 0.134, 0.088)
Ge (0.534, 0.866, 0.912)
Ge (0.866, 0.534, 0.412)
N (0.117, 0.235, 0.687)
N (0.222, 0.241, 0.463)
N (0.235, 0.117, 0.187)
N (0.241, 0.222, 0.963)
N (0.367, 0.578, 0.644)
N (0.422, 0.633, 0.856)
N (0.578, 0.367, 0.144)
N (0.633, 0.422, 0.356)
N (0.759, 0.778, 0.037)
N (0.765, 0.883, 0.813)
N (0.778, 0.759, 0.537)
N (0.883, 0.765, 0.313)

Values from the calculation:
Total DFT energy (no corrections) = -5.63 eV per atom
Space group = C2/c

First-principles (PBE) data for a geometry-optimized SrMg3GeN4 structure, as listed in the Materials Project database.

a b c (Å): 6.214 6.214 8.464
angles (deg): 132.65 132.65 31.56
Atoms (fractional coordinates):
Sr (0.000, 0.000, 0.000)
Mg (0.189, 0.189, 0.810)
Mg (0.636, 0.636, 0.449)
Mg (0.829, 0.829, 0.177)
Ge (0.372, 0.372, 0.562)
N (0.262, 0.262, 0.647)
N (0.411, 0.411, 0.144)
N (0.585, 0.585, 0.808)
N (0.787, 0.787, 0.379)

Values from the calculation:
Total DFT energy (no corrections) = -5.60 eV per atom
Space group = Cm

First-principles (PBE) data for a geometry-optimized Sr3MgGeN4 structure, as listed in the Materials Project database.

a b c (Å): 5.993 10.412 9.692
angles (deg): 90.00 90.00 90.00
Atoms (fractional coordinates):
Sr (0.113, 0.153, 0.090)
Sr (0.113, 0.347, 0.410)
Sr (0.250, 0.000, 0.407)
Sr (0.250, 0.500, 0.093)
Sr (0.387, 0.653, 0.410)
Sr (0.387, 0.847, 0.090)
Sr (0.613, 0.153, 0.910)
Sr (0.613, 0.347, 0.590)
Sr (0.750, 0.000, 0.593)
Sr (0.750, 0.500, 0.907)
Sr (0.887, 0.653, 0.590)
Sr (0.887, 0.847, 0.910)
Mg (0.157, 0.250, 0.750)
Mg (0.343, 0.750, 0.750)
Mg (0.657, 0.250, 0.250)
Mg (0.843, 0.750, 0.250)
Ge (0.250, 0.000, 0.732)
Ge (0.250, 0.500, 0.768)
Ge (0.750, 0.000, 0.268)
Ge (0.750, 0.500, 0.232)
N (0.014, 0.084, 0.836)
N (0.014, 0.416, 0.664)
N (0.117, 0.636, 0.872)
N (0.117, 0.864, 0.628)
N (0.383, 0.136, 0.628)
N (0.383, 0.364, 0.872)
N (0.486, 0.584, 0.664)
N (0.486, 0.916, 0.836)
N (0.514, 0.084, 0.164)
N (0.514, 0.416, 0.336)
N (0.617, 0.636, 0.128)
N (0.617, 0.864, 0.372)
N (0.883, 0.136, 0.372)
N (0.883, 0.364, 0.128)
N (0.986, 0.584, 0.336)
N (0.986, 0.916, 0.164)

Values from the calculation:
Total DFT energy (no corrections) = -5.63 eV per atom
Space group = Pnna

First-principles (PBE) data for a geometry-optimized Na2MgGeO4 structure, as listed in the Materials Project database.

a b c (Å): 5.423 5.692 9.018
angles (deg): 90.00 126.88 90.00
Atoms (fractional coordinates):
Na (0.000, 0.173, 0.000)
Na (0.000, 0.827, 0.500)
Na (0.252, 0.319, 0.755)
Na (0.252, 0.681, 0.255)
Mg (0.735, 0.314, 0.249)
Mg (0.735, 0.686, 0.749)
Ge (0.485, 0.187, 0.502)
Ge (0.485, 0.813, 0.002)
O (0.132, 0.209, 0.474)
O (0.132, 0.791, 0.974)
O (0.425, 0.295, 0.298)
O (0.425, 0.705, 0.798)
O (0.593, 0.116, 0.031)
O (0.593, 0.884, 0.531)
O (0.771, 0.350, 0.704)
O (0.771, 0.650, 0.204)

Values from the calculation:
Total DFT energy (no corrections) = -5.62 eV per atom
Space group = Pc
Largest piezoelectric modulus = 1.266 C/m2

First-principles (PBE) data for a geometry-optimized Na4MgGe3P6O24 structure, as listed in the Materials Project database.

a b c (Å): 8.552 8.558 21.696
angles (deg): 90.00 90.01 119.92
Atoms (fractional coordinates):
Na (0.000, 0.000, 0.000)
Na (0.000, 0.022, 0.500)
Na (0.024, 0.336, 0.413)
Na (0.291, 0.339, 0.911)
Na (0.297, 0.985, 0.413)
Na (0.321, 0.679, 0.828)
Na (0.332, 0.678, 0.327)
Na (0.654, 0.332, 0.664)
Na (0.665, 0.344, 0.167)
Na (0.673, 0.713, 0.412)
Na (0.675, 0.978, 0.911)
Na (0.957, 0.670, 0.582)
Mg (0.000, 0.005, 0.850)
Mg (0.660, 0.339, 0.523)
Mg (0.998, 0.011, 0.346)
Ge (0.328, 0.679, 0.982)
Ge (0.331, 0.677, 0.185)
Ge (0.333, 0.677, 0.483)
Ge (0.333, 0.678, 0.687)
Ge (0.664, 0.343, 0.310)
Ge (0.665, 0.345, 0.022)
Ge (0.667, 0.346, 0.809)
Ge (0.998, 0.011, 0.149)
Ge (0.999, 0.015, 0.650)
P (0.043, 0.679, 0.083)
P (0.049, 0.385, 0.585)
P (0.292, 0.305, 0.750)
P (0.293, 0.010, 0.248)
P (0.330, 0.387, 0.083)
P (0.330, 0.965, 0.586)
P (0.378, 0.348, 0.417)
P (0.382, 0.057, 0.918)
P (0.621, 0.685, 0.585)
P (0.622, 0.966, 0.083)
P (0.662, 0.055, 0.417)
P (0.665, 0.627, 0.918)
P (0.703, 0.716, 0.248)
P (0.704, 0.011, 0.750)
P (0.952, 0.354, 0.918)
P (0.956, 0.631, 0.418)
P (0.999, 0.306, 0.248)
P (0.999, 0.718, 0.748)
O (0.024, 0.849, 0.090)
O (0.033, 0.236, 0.308)
O (0.034, 0.830, 0.805)
O (0.038, 0.200, 0.591)
O (0.128, 0.641, 0.139)
O (0.140, 0.514, 0.639)
O (0.144, 0.526, 0.924)
O (0.148, 0.647, 0.422)
O (0.151, 0.973, 0.591)
O (0.160, 0.199, 0.090)
O (0.162, 0.717, 0.025)
O (0.163, 0.464, 0.523)
O (0.166, 0.693, 0.740)
O (0.169, 0.495, 0.238)
O (0.187, 0.234, 0.810)
O (0.188, 0.187, 0.409)
O (0.189, 0.976, 0.308)
O (0.197, 0.038, 0.913)
O (0.204, 0.047, 0.191)
O (0.205, 0.181, 0.693)
O (0.284, 0.842, 0.525)
O (0.295, 0.467, 0.022)
O (0.313, 0.841, 0.238)
O (0.314, 0.495, 0.740)
O (0.355, 0.870, 0.641)
O (0.363, 0.525, 0.422)
O (0.367, 0.512, 0.138)
O (0.372, 0.869, 0.925)
O (0.459, 0.312, 0.473)
O (0.467, 0.179, 0.976)
O (0.483, 0.182, 0.253)
O (0.483, 0.323, 0.754)
O (0.485, 0.863, 0.423)
O (0.487, 0.642, 0.924)
O (0.494, 0.148, 0.581)
O (0.497, 0.879, 0.138)
O (0.499, 0.653, 0.640)
O (0.502, 0.370, 0.077)
O (0.502, 0.393, 0.358)
O (0.507, 0.137, 0.861)
O (0.514, 0.696, 0.238)
O (0.515, 0.842, 0.741)
O (0.543, 0.720, 0.524)
O (0.543, 0.851, 0.023)
O (0.616, 0.133, 0.358)
O (0.619, 0.502, 0.861)
O (0.639, 0.155, 0.076)
O (0.647, 0.522, 0.581)
O (0.685, 0.183, 0.754)
O (0.685, 0.525, 0.253)
O (0.694, 0.542, 0.977)
O (0.700, 0.172, 0.473)
O (0.773, 0.820, 0.308)
O (0.776, 0.978, 0.810)
O (0.810, 0.984, 0.090)
O (0.811, 0.859, 0.590)
O (0.822, 0.024, 0.409)
O (0.825, 0.816, 0.914)
O (0.826, 0.527, 0.753)
O (0.827, 0.325, 0.253)
O (0.828, 0.047, 0.693)
O (0.828, 0.804, 0.191)
O (0.829, 0.313, 0.975)
O (0.846, 0.556, 0.476)
O (0.854, 0.507, 0.076)
O (0.866, 0.370, 0.580)
O (0.870, 0.388, 0.859)
O (0.873, 0.505, 0.360)
O (0.962, 0.181, 0.191)
O (0.963, 0.798, 0.688)
O (0.976, 0.189, 0.913)
O (0.984, 0.821, 0.409)

Values from the calculation:
Total DFT energy (no corrections) = -6.63 eV per atom
Space group = P1